[1]
Crystalline CaYAl3O7 at its relaxed geometry. Source: the Materials Project database, functional PBE.

Properties
DFT total energy (eV/atom): -7.683
Offset from the most stable computed form (meV/atom): 0
MP2020-corrected energy (eV per atom): -8.08
E_form (meV/atom): -3555

Lattice parameters (Å, degrees): 5.106 7.744 7.786 90.00 90.12 90.00
Positions (direct):
Ca1 0.015 0.000 0.082
Ca2 0.985 0.500 0.918
Y1 0.020 0.679 0.405
Y2 0.980 0.179 0.595
Al1 0.456 0.194 0.889
Al2 0.458 0.482 0.601
Al3 0.498 0.839 0.748
Al4 0.502 0.339 0.252
Al5 0.542 0.982 0.399
Al6 0.544 0.694 0.111
O1 0.199 0.979 0.408
O2 0.203 0.698 0.129
O3 0.289 0.430 0.407
O4 0.292 0.001 0.831
O5 0.304 0.340 0.745
O6 0.305 0.683 0.642
O7 0.315 0.241 0.090
O8 0.685 0.741 0.910
O9 0.695 0.183 0.358
O10 0.696 0.840 0.255
O11 0.708 0.501 0.169
O12 0.711 0.930 0.593
O13 0.797 0.198 0.871
O14 0.801 0.479 0.592

=====

[2]
Crystalline CaYAl3O7 at its relaxed geometry. Source: the Materials Project database, functional PBE.

Properties
DFT total energy (eV/atom): -7.680
Offset from the most stable computed form (meV/atom): 3
MP2020-corrected energy (eV per atom): -8.08
E_form (meV/atom): -3552

Lattice parameters (Å, degrees): 7.759 7.759 5.098 90.00 90.00 90.17
Positions (direct):
Ca1 0.161 0.839 0.000
Ca2 0.839 0.161 0.000
Y1 0.338 0.338 0.030
Y2 0.662 0.662 0.030
Al1 0.000 0.500 0.515
Al2 0.146 0.146 0.471
Al3 0.357 0.643 0.559
Al4 0.500 0.000 0.515
Al5 0.643 0.357 0.559
Al6 0.854 0.854 0.471
O1 0.000 0.000 0.332
O2 0.098 0.344 0.311
O3 0.153 0.153 0.813
O4 0.163 0.587 0.716
O5 0.344 0.098 0.311
O6 0.369 0.631 0.217
O7 0.413 0.837 0.716
O8 0.500 0.500 0.721
O9 0.587 0.163 0.716
O10 0.631 0.369 0.217
O11 0.656 0.902 0.311
O12 0.837 0.413 0.716
O13 0.847 0.847 0.813
O14 0.902 0.656 0.311

=====

[3]
Crystalline Ca3Al4ZnO10 at its relaxed geometry. Source: the Materials Project database, functional PBE.

Properties
DFT total energy (eV/atom): -6.865
MP2020-corrected energy (eV per atom): -7.25
E_form (meV/atom): -3261

Lattice parameters (Å, degrees): 16.930 5.189 10.814 90.00 90.00 90.00
Positions (direct):
Ca1 0.107 0.204 0.000
Ca2 0.110 0.204 0.353
Ca3 0.209 0.228 0.662
Ca4 0.291 0.228 0.162
Ca5 0.390 0.204 0.853
Ca6 0.393 0.204 0.500
Ca7 0.607 0.796 0.000
Ca8 0.610 0.796 0.353
Ca9 0.709 0.772 0.662
Ca10 0.791 0.772 0.162
Ca11 0.890 0.796 0.853
Ca12 0.893 0.796 0.500
Al1 0.030 0.131 0.675
Al2 0.077 0.629 0.821
Al3 0.164 0.759 0.173
Al4 0.249 0.698 0.923
Al5 0.251 0.698 0.423
Al6 0.336 0.759 0.673
Al7 0.423 0.629 0.321
Al8 0.470 0.131 0.175
Al9 0.530 0.869 0.675
Al10 0.577 0.371 0.821
Al11 0.664 0.241 0.173
Al12 0.749 0.302 0.923
Al13 0.751 0.302 0.423
Al14 0.836 0.241 0.673
Al15 0.923 0.371 0.321
Al16 0.970 0.869 0.175
Zn1 0.079 0.643 0.523
Zn2 0.421 0.643 0.023
Zn3 0.579 0.357 0.523
Zn4 0.921 0.357 0.023
O1 0.006 0.509 0.924
O2 0.060 0.458 0.682
O3 0.072 0.926 0.174
O4 0.073 0.968 0.806
O5 0.082 0.011 0.545
O6 0.166 0.422 0.172
O7 0.171 0.504 0.864
O8 0.181 0.479 0.481
O9 0.212 0.905 0.043
O10 0.213 0.901 0.303
O11 0.287 0.901 0.803
O12 0.288 0.905 0.543
O13 0.319 0.479 0.981
O14 0.329 0.504 0.364
O15 0.334 0.422 0.672
O16 0.418 0.011 0.045
O17 0.427 0.968 0.306
O18 0.428 0.926 0.674
O19 0.440 0.458 0.182
O20 0.494 0.509 0.424
O21 0.506 0.491 0.924
O22 0.560 0.542 0.682
O23 0.572 0.074 0.174
O24 0.573 0.032 0.806
O25 0.582 0.989 0.545
O26 0.666 0.578 0.172
O27 0.671 0.496 0.864
O28 0.681 0.521 0.481
O29 0.712 0.095 0.043
O30 0.713 0.099 0.303
O31 0.787 0.099 0.803
O32 0.788 0.095 0.543
O33 0.819 0.521 0.981
O34 0.829 0.496 0.364
O35 0.834 0.578 0.672
O36 0.918 0.989 0.045
O37 0.927 0.032 0.306
O38 0.928 0.074 0.674
O39 0.940 0.542 0.182
O40 0.994 0.491 0.424

=====

> Which of these has the lowest DFT total energy?

number 1